Computed, not measured: SmH10C6S6N3O17F18 after structural relaxation at the PBE-GGA level of DFT.

Properties
The total energy is -0.20357 hartree per atom. The space group is P2_1/c. Its calculated density is 2.15 g/cm³.

Unit cell a=13.295 b=18.913 c=18.068 alpha=90.00 beta=132.61 gamma=90.00
Atoms (fractional coordinates):
Sm 0.062 0.247 0.349
Sm 0.062 0.253 0.849
Sm 0.938 0.747 0.151
Sm 0.938 0.753 0.651
H 0.019 0.648 0.567
H 0.019 0.852 0.067
H 0.028 0.092 0.287
H 0.028 0.408 0.787
H 0.051 0.102 0.907
H 0.051 0.398 0.407
H 0.083 0.086 0.396
H 0.083 0.414 0.896
H 0.118 0.226 0.542
H 0.118 0.274 0.042
H 0.118 0.674 0.125
H 0.118 0.826 0.625
H 0.149 0.703 0.865
H 0.149 0.797 0.365
H 0.193 0.748 0.177
H 0.193 0.752 0.677
H 0.246 0.732 0.848
H 0.246 0.768 0.348
H 0.254 0.200 0.570
H 0.254 0.300 0.070
H 0.746 0.700 0.930
H 0.746 0.800 0.430
H 0.754 0.232 0.652
H 0.754 0.268 0.152
H 0.807 0.248 0.323
H 0.807 0.252 0.823
H 0.851 0.203 0.635
H 0.851 0.297 0.135
H 0.882 0.174 0.375
H 0.882 0.326 0.875
H 0.882 0.726 0.958
H 0.882 0.774 0.458
H 0.917 0.586 0.104
H 0.917 0.914 0.604
H 0.949 0.602 0.593
H 0.949 0.898 0.093
H 0.972 0.592 0.213
H 0.972 0.908 0.713
H 0.981 0.148 0.933
H 0.981 0.352 0.433
C 0.226 0.092 0.741
C 0.226 0.408 0.241
C 0.248 0.134 0.221
C 0.248 0.366 0.721
C 0.281 0.596 0.517
C 0.281 0.904 0.017
C 0.306 0.614 0.059
C 0.306 0.886 0.559
C 0.430 0.583 0.855
C 0.430 0.917 0.355
C 0.473 0.145 0.087
C 0.473 0.355 0.587
C 0.527 0.645 0.413
C 0.527 0.855 0.913
C 0.570 0.083 0.645
C 0.570 0.417 0.145
C 0.694 0.114 0.441
C 0.694 0.386 0.941
C 0.719 0.096 0.983
C 0.719 0.404 0.483
C 0.752 0.634 0.279
C 0.752 0.866 0.779
C 0.774 0.592 0.759
C 0.774 0.908 0.259
S 0.069 0.091 0.723
S 0.069 0.409 0.223
S 0.075 0.170 0.161
S 0.075 0.330 0.661
S 0.111 0.559 0.461
S 0.111 0.941 0.961
S 0.131 0.577 0.988
S 0.131 0.923 0.488
S 0.439 0.674 0.820
S 0.439 0.826 0.320
S 0.451 0.228 0.020
S 0.451 0.272 0.520
S 0.549 0.728 0.480
S 0.549 0.772 0.980
S 0.561 0.174 0.680
S 0.561 0.326 0.180
S 0.869 0.077 0.512
S 0.869 0.423 0.012
S 0.889 0.059 0.039
S 0.889 0.441 0.539
S 0.925 0.670 0.339
S 0.925 0.830 0.839
S 0.931 0.591 0.777
S 0.931 0.909 0.277
N 0.009 0.602 0.356
N 0.009 0.898 0.856
N 0.049 0.622 0.886
N 0.049 0.878 0.386
N 0.432 0.722 0.890
N 0.432 0.778 0.390
N 0.568 0.222 0.610
N 0.568 0.278 0.110
N 0.951 0.122 0.614
N 0.951 0.378 0.114
N 0.991 0.102 0.144
N 0.991 0.398 0.644
O 0.021 0.151 0.904
O 0.021 0.349 0.404
O 0.029 0.208 0.074
O 0.029 0.292 0.574
O 0.055 0.019 0.740
O 0.055 0.481 0.240
O 0.063 0.120 0.347
O 0.063 0.380 0.847
O 0.097 0.574 0.532
O 0.097 0.601 0.045
O 0.097 0.899 0.545
O 0.097 0.926 0.032
O 0.100 0.145 0.794
O 0.100 0.355 0.294
O 0.104 0.211 0.242
O 0.104 0.289 0.742
O 0.115 0.013 0.938
O 0.115 0.487 0.438
O 0.123 0.715 0.161
O 0.123 0.785 0.661
O 0.140 0.502 0.979
O 0.140 0.998 0.479
O 0.152 0.732 0.822
O 0.152 0.768 0.322
O 0.156 0.209 0.514
O 0.156 0.291 0.014
O 0.312 0.249 0.470
O 0.312 0.251 0.970
O 0.312 0.684 0.717
O 0.312 0.816 0.217
O 0.434 0.177 0.658
O 0.434 0.323 0.158
O 0.480 0.211 0.960
O 0.480 0.289 0.460
O 0.520 0.711 0.540
O 0.520 0.789 0.040
O 0.566 0.677 0.842
O 0.566 0.823 0.342
O 0.688 0.184 0.783
O 0.688 0.316 0.283
O 0.688 0.749 0.030
O 0.688 0.751 0.530
O 0.844 0.709 0.986
O 0.844 0.791 0.486
O 0.848 0.232 0.678
O 0.848 0.268 0.178
O 0.860 0.002 0.521
O 0.860 0.498 0.021
O 0.877 0.215 0.339
O 0.877 0.285 0.839
O 0.885 0.513 0.562
O 0.885 0.987 0.062
O 0.896 0.711 0.258
O 0.896 0.789 0.758
O 0.900 0.645 0.706
O 0.900 0.855 0.206
O 0.903 0.074 0.968
O 0.903 0.101 0.455
O 0.903 0.399 0.955
O 0.903 0.426 0.468
O 0.937 0.620 0.153
O 0.937 0.880 0.653
O 0.945 0.519 0.760
O 0.945 0.981 0.260
O 0.971 0.708 0.426
O 0.971 0.792 0.926
O 0.979 0.651 0.596
O 0.979 0.849 0.096
F 0.203 0.050 0.670
F 0.203 0.450 0.170
F 0.235 0.088 0.158
F 0.235 0.412 0.658
F 0.255 0.158 0.732
F 0.255 0.342 0.232
F 0.282 0.667 0.529
F 0.282 0.833 0.029
F 0.305 0.582 0.457
F 0.305 0.918 0.957
F 0.306 0.685 0.070
F 0.306 0.815 0.570
F 0.307 0.102 0.309
F 0.307 0.398 0.809
F 0.312 0.574 0.834
F 0.312 0.926 0.334
F 0.328 0.189 0.239
F 0.328 0.311 0.739
F 0.333 0.066 0.832
F 0.333 0.434 0.332
F 0.349 0.601 0.011
F 0.349 0.899 0.511
F 0.380 0.566 0.608
F 0.380 0.934 0.108
F 0.382 0.096 0.019
F 0.382 0.404 0.519
F 0.393 0.585 0.151
F 0.393 0.915 0.651
F 0.400 0.620 0.358
F 0.400 0.880 0.858
F 0.435 0.536 0.802
F 0.435 0.964 0.302
F 0.452 0.159 0.149
F 0.452 0.341 0.649
F 0.464 0.072 0.545
F 0.464 0.428 0.045
F 0.536 0.572 0.955
F 0.536 0.928 0.455
F 0.548 0.659 0.351
F 0.548 0.841 0.851
F 0.565 0.036 0.698
F 0.565 0.464 0.198
F 0.600 0.120 0.142
F 0.600 0.380 0.642
F 0.607 0.085 0.349
F 0.607 0.415 0.849
F 0.618 0.596 0.481
F 0.618 0.904 0.981
F 0.620 0.066 0.892
F 0.620 0.434 0.392
F 0.651 0.101 0.489
F 0.651 0.399 0.989
F 0.667 0.566 0.668
F 0.667 0.934 0.168
F 0.672 0.689 0.261
F 0.672 0.811 0.761
F 0.688 0.074 0.666
F 0.688 0.426 0.166
F 0.693 0.602 0.191
F 0.693 0.898 0.691
F 0.694 0.185 0.430
F 0.694 0.315 0.930
F 0.695 0.082 0.043
F 0.695 0.418 0.543
F 0.718 0.167 0.971
F 0.718 0.333 0.471
F 0.745 0.658 0.768
F 0.745 0.842 0.268
F 0.765 0.588 0.342
F 0.765 0.912 0.842
F 0.797 0.550 0.830
F 0.797 0.950 0.330